{
  "formula": "RbBa2Br5",
  "functional": "PBE-GGA",
  "state": "optimized geometry",
  "e_form_ev_per_atom": -2.4528,
  "space_group": "No. 14",
  "energy_ev_per_atom": -3.744,
  "lattice_angstrom": [[-7.034, -4.437, 2.952], [5.786, -7.770, 2.108], [2.196, 5.155, 12.981]],
  "species": ["Ba", "Ba", "Ba", "Ba", "Ba", "Ba", "Ba", "Ba", "Br", "Br", "Br", "Br", "Br", "Br", "Br", "Br", "Br", "Br", "Br", "Br", "Br", "Br", "Br", "Br", "Br", "Br", "Br", "Br", "Rb", "Rb", "Rb", "Rb"],
  "frac_coords": [[0.573, 0.249, 0.493], [0.427, 0.751, 0.507], [0.476, 0.002, 0.822], [0.976, 0.998, 0.678], [0.927, 0.249, 0.993], [0.524, 0.998, 0.178], [0.073, 0.751, 0.007], [0.024, 0.002, 0.322], [0.662, 0.958, 0.400], [0.199, 0.770, 0.782], [0.163, 0.461, 0.092], [0.667, 0.783, 0.685], [0.338, 0.042, 0.600], [0.454, 0.779, 0.003], [0.838, 0.958, 0.900], [0.663, 0.539, 0.408], [0.546, 0.221, 0.997], [0.301, 0.770, 0.282], [0.833, 0.783, 0.185], [0.954, 0.221, 0.497], [0.167, 0.217, 0.815], [0.162, 0.042, 0.100], [0.699, 0.230, 0.718], [0.333, 0.217, 0.315], [0.046, 0.779, 0.503], [0.337, 0.461, 0.592], [0.837, 0.539, 0.908], [0.801, 0.230, 0.218], [0.978, 0.496, 0.677], [0.522, 0.496, 0.177], [0.478, 0.504, 0.823], [0.022, 0.504, 0.323]]
}

{
  "formula": "BaY3Br11",
  "functional": "PBE-GGA",
  "state": "optimized geometry",
  "e_form_ev_per_atom": -2.2710,
  "magnetic_moment_mub_per_cell": 0.0,
  "space_group": "No. 51",
  "energy_ev_per_atom": -4.501,
  "lattice_angstrom": [[-0.544, -0.061, 5.634], [-10.199, -3.675, -1.025], [6.886, -19.241, 0.457]],
  "species": ["Y", "Y", "Y", "Y", "Y", "Y", "Br", "Br", "Br", "Br", "Br", "Br", "Br", "Br", "Br", "Br", "Br", "Br", "Br", "Br", "Br", "Br", "Br", "Br", "Br", "Br", "Br", "Br", "Ba", "Ba"],
  "frac_coords": [[0.000, 0.999, 0.237], [0.000, 0.501, 0.237], [0.000, 0.499, 0.763], [0.000, 0.000, 0.500], [0.000, 0.001, 0.763], [0.000, 0.500, 0.500], [0.000, 0.750, 0.273], [0.500, 0.002, 0.761], [0.000, 0.965, 0.101], [0.500, 0.750, 0.937], [0.000, 0.427, 0.368], [0.000, 0.250, 0.203], [0.000, 0.927, 0.632], [0.500, 0.500, 0.500], [0.000, 0.573, 0.632], [0.000, 0.750, 0.463], [0.500, 0.250, 0.063], [0.000, 0.073, 0.368], [0.500, 0.000, 0.500], [0.000, 0.535, 0.101], [0.500, 0.502, 0.239], [0.000, 0.250, 0.727], [0.000, 0.035, 0.899], [0.000, 0.250, 0.537], [0.500, 0.498, 0.761], [0.000, 0.750, 0.797], [0.500, 0.998, 0.239], [0.000, 0.465, 0.899], [0.000, 0.750, 0.990], [0.000, 0.250, 0.010]]
}

{
  "formula": "Ba6Ca6MgC13O39",
  "functional": "PBE-GGA",
  "state": "optimized geometry",
  "e_form_ev_per_atom": -2.6568,
  "magnetic_moment_mub_per_cell": 0.0,
  "space_group": "No. 146",
  "energy_ev_per_atom": -7.446,
  "lattice_angstrom": [[6.101, -9.267, 0.000], [6.101, 9.267, 0.000], [-7.975, 0.000, 7.714]],
  "species": ["O", "O", "O", "O", "O", "O", "O", "O", "O", "O", "O", "O", "O", "O", "O", "O", "O", "O", "O", "O", "O", "O", "O", "O", "O", "O", "O", "O", "O", "O", "O", "O", "O", "O", "O", "O", "O", "O", "O", "Ba", "Ba", "Ba", "Ba", "Ba", "Ba", "C", "C", "C", "C", "C", "C", "C", "C", "C", "C", "C", "C", "C", "Ca", "Ca", "Ca", "Ca", "Ca", "Ca", "Mg"],
  "frac_coords": [[0.108, 0.247, 0.075], [0.421, 0.069, 0.055], [0.690, 0.094, 0.885], [0.341, 0.775, 0.530], [0.579, 0.932, 0.945], [0.907, 0.503, 0.237], [0.093, 0.497, 0.763], [0.055, 0.421, 0.069], [0.945, 0.579, 0.932], [0.775, 0.530, 0.341], [0.114, 0.309, 0.906], [0.824, 0.345, 0.313], [0.247, 0.075, 0.108], [0.655, 0.687, 0.176], [0.094, 0.885, 0.690], [0.176, 0.655, 0.687], [0.530, 0.341, 0.775], [0.503, 0.237, 0.907], [0.763, 0.093, 0.497], [0.069, 0.055, 0.421], [0.497, 0.763, 0.093], [0.897, 0.758, 0.930], [0.449, 0.583, 0.551], [0.469, 0.658, 0.225], [0.345, 0.313, 0.824], [0.309, 0.906, 0.114], [0.932, 0.945, 0.579], [0.658, 0.225, 0.469], [0.906, 0.114, 0.309], [0.885, 0.690, 0.094], [0.583, 0.551, 0.449], [0.551, 0.449, 0.583], [0.225, 0.469, 0.658], [0.687, 0.176, 0.655], [0.075, 0.108, 0.247], [0.313, 0.824, 0.345], [0.237, 0.907, 0.503], [0.758, 0.930, 0.897], [0.930, 0.897, 0.758], [0.575, 0.645, 0.874], [0.349, 0.115, 0.421], [0.115, 0.421, 0.349], [0.645, 0.874, 0.575], [0.874, 0.575, 0.645], [0.421, 0.349, 0.115], [0.832, 0.455, 0.294], [0.168, 0.544, 0.705], [0.989, 0.913, 0.679], [0.322, 0.012, 0.089], [0.525, 0.525, 0.525], [0.913, 0.679, 0.989], [0.294, 0.832, 0.455], [0.455, 0.294, 0.832], [0.705, 0.168, 0.544], [0.544, 0.705, 0.168], [0.089, 0.322, 0.012], [0.679, 0.989, 0.913], [0.012, 0.089, 0.322], [0.062, 0.222, 0.644], [0.777, 0.356, 0.937], [0.937, 0.777, 0.356], [0.644, 0.062, 0.222], [0.356, 0.937, 0.777], [0.222, 0.644, 0.062], [0.000, 0.000, 0.000]]
}

{
  "formula": "Ba3NaCaYC6O21",
  "functional": "PBE-GGA",
  "state": "optimized geometry",
  "e_form_ev_per_atom": -1.9316,
  "magnetic_moment_mub_per_cell": 4.0,
  "space_group": "No. 9",
  "energy_ev_per_atom": -7.230,
  "lattice_angstrom": [[4.666, 8.165, 0.000], [-4.666, 8.165, 0.000], [0.000, 4.876, 13.400]],
  "species": ["Ba", "Ba", "Ba", "Ba", "Ba", "Ba", "O", "O", "O", "O", "O", "O", "O", "O", "O", "O", "O", "O", "O", "O", "O", "O", "O", "O", "O", "O", "O", "O", "O", "O", "O", "O", "O", "O", "O", "O", "O", "O", "O", "O", "O", "O", "O", "O", "O", "O", "O", "O", "Na", "Na", "C", "C", "C", "C", "C", "C", "C", "C", "C", "C", "C", "C", "Ca", "Ca", "Y", "Y"],
  "frac_coords": [[0.807, 0.615, 0.335], [0.467, 0.308, 0.305], [0.152, 0.980, 0.293], [0.308, 0.467, 0.805], [0.615, 0.807, 0.835], [0.980, 0.152, 0.793], [0.261, 0.620, 0.380], [0.247, 0.454, 0.631], [0.076, 0.998, 0.631], [0.947, 0.765, 0.158], [0.993, 0.604, 0.143], [0.237, 0.215, 0.123], [0.576, 0.403, 0.634], [0.604, 0.993, 0.643], [0.757, 0.982, 0.885], [0.163, 0.848, 0.510], [0.918, 0.277, 0.387], [0.409, 0.304, 0.512], [0.423, 0.640, 0.886], [0.765, 0.947, 0.658], [0.478, 0.121, 0.890], [0.282, 0.730, 0.643], [0.454, 0.247, 0.131], [0.591, 0.939, 0.388], [0.730, 0.282, 0.143], [0.620, 0.261, 0.880], [0.640, 0.423, 0.386], [0.380, 0.829, 0.132], [0.655, 0.589, 0.530], [0.215, 0.237, 0.623], [0.144, 0.775, 0.887], [0.462, 0.803, 0.373], [0.082, 0.320, 0.872], [0.320, 0.082, 0.372], [0.794, 0.880, 0.133], [0.939, 0.591, 0.888], [0.880, 0.794, 0.633], [0.304, 0.409, 0.012], [0.998, 0.076, 0.131], [0.775, 0.144, 0.387], [0.829, 0.380, 0.632], [0.982, 0.757, 0.385], [0.403, 0.576, 0.134], [0.121, 0.478, 0.390], [0.848, 0.163, 0.010], [0.589, 0.655, 0.030], [0.803, 0.462, 0.873], [0.277, 0.918, 0.887], [0.086, 0.229, 0.504], [0.229, 0.086, 0.004], [0.616, 0.121, 0.887], [0.290, 0.328, 0.590], [0.455, 0.690, 0.101], [0.170, 0.862, 0.596], [0.454, 0.943, 0.380], [0.862, 0.170, 0.096], [0.779, 0.280, 0.388], [0.328, 0.290, 0.090], [0.280, 0.779, 0.888], [0.943, 0.454, 0.880], [0.121, 0.616, 0.387], [0.690, 0.455, 0.601], [0.919, 0.751, 0.985], [0.751, 0.919, 0.485], [0.581, 0.409, 0.004], [0.409, 0.581, 0.504]]
}

{
  "formula": "BaCaC2O6",
  "functional": "PBE-GGA",
  "state": "optimized geometry",
  "e_form_ev_per_atom": -2.6796,
  "relative_energy_mev_per_atom": 0,
  "magnetic_moment_mub_per_cell": 0.0,
  "space_group": "No. 11",
  "energy_ev_per_atom": -7.474,
  "lattice_angstrom": [[5.301, 0.000, 0.000], [0.000, 6.634, 0.000], [0.000, 2.270, 7.940]],
  "species": ["Ba", "Ba", "C", "C", "C", "C", "O", "O", "O", "O", "O", "O", "O", "O", "O", "O", "O", "O", "Ca", "Ca"],
  "frac_coords": [[0.750, 0.286, 0.855], [0.250, 0.714, 0.145], [0.250, 0.249, 0.105], [0.250, 0.252, 0.615], [0.750, 0.751, 0.895], [0.750, 0.748, 0.385], [0.539, 0.847, 0.394], [0.461, 0.153, 0.606], [0.750, 0.566, 0.361], [0.250, 0.140, 0.997], [0.037, 0.310, 0.156], [0.039, 0.153, 0.606], [0.250, 0.434, 0.639], [0.961, 0.847, 0.394], [0.963, 0.690, 0.844], [0.750, 0.860, 0.003], [0.537, 0.690, 0.844], [0.463, 0.310, 0.156], [0.250, 0.801, 0.622], [0.750, 0.199, 0.378]]
}

{
  "formula": "BaCaC2O6",
  "functional": "PBE-GGA",
  "state": "optimized geometry",
  "e_form_ev_per_atom": -2.6744,
  "relative_energy_mev_per_atom": 5,
  "magnetic_moment_mub_per_cell": 0.0,
  "space_group": "No. 150",
  "energy_ev_per_atom": -7.469,
  "lattice_angstrom": [[4.394, -7.611, 0.000], [4.394, 7.611, 0.000], [0.000, 0.000, 6.243]],
  "species": ["O", "O", "O", "O", "O", "O", "O", "O", "O", "O", "O", "O", "O", "O", "O", "O", "O", "O", "C", "C", "C", "C", "C", "C", "Ca", "Ca", "Ca", "Ba", "Ba", "Ba"],
  "frac_coords": [[0.820, 0.345, 0.181], [0.475, 0.655, 0.819], [0.002, 0.149, 0.742], [0.180, 0.525, 0.819], [0.853, 0.851, 0.258], [0.810, 0.486, 0.642], [0.149, 0.002, 0.258], [0.324, 0.514, 0.358], [0.998, 0.147, 0.258], [0.655, 0.475, 0.181], [0.676, 0.190, 0.642], [0.345, 0.820, 0.819], [0.851, 0.853, 0.742], [0.525, 0.180, 0.181], [0.147, 0.998, 0.742], [0.514, 0.324, 0.642], [0.486, 0.810, 0.358], [0.190, 0.676, 0.358], [0.000, 0.000, 0.735], [0.667, 0.333, 0.646], [0.333, 0.667, 0.816], [0.000, 0.000, 0.265], [0.333, 0.667, 0.354], [0.667, 0.333, 0.184], [0.640, 0.640, 0.500], [0.000, 0.360, 0.500], [0.360, 0.000, 0.500], [0.000, 0.687, 0.000], [0.687, 0.000, 0.000], [0.313, 0.313, 0.000]]
}

{
  "formula": "BaCaC2O6",
  "functional": "PBE-GGA",
  "state": "optimized geometry",
  "e_form_ev_per_atom": -2.6721,
  "relative_energy_mev_per_atom": 8,
  "magnetic_moment_mub_per_cell": 0.0,
  "space_group": "No. 4",
  "energy_ev_per_atom": -7.467,
  "lattice_angstrom": [[5.269, 0.000, 0.000], [0.000, 6.706, 0.000], [0.000, 2.566, 8.094]],
  "species": ["O", "O", "O", "O", "O", "O", "O", "O", "O", "O", "O", "O", "C", "C", "C", "C", "Ba", "Ba", "Ca", "Ca"],
  "frac_coords": [[0.512, 0.860, 0.482], [0.740, 0.824, 0.883], [0.688, 0.691, 0.317], [0.467, 0.582, 0.846], [0.188, 0.309, 0.683], [0.240, 0.176, 0.117], [0.766, 0.314, 0.650], [0.822, 0.139, 0.086], [0.967, 0.418, 0.154], [0.266, 0.686, 0.350], [0.322, 0.861, 0.914], [0.012, 0.140, 0.518], [0.489, 0.750, 0.381], [0.989, 0.250, 0.619], [0.510, 0.751, 0.883], [0.010, 0.249, 0.117], [0.005, 0.716, 0.637], [0.505, 0.284, 0.363], [0.001, 0.788, 0.116], [0.501, 0.212, 0.884]]
}

{
  "formula": "BaCaCO3",
  "functional": "PBE-GGA",
  "state": "optimized geometry",
  "e_form_ev_per_atom": -2.1048,
  "magnetic_moment_mub_per_cell": 0.0,
  "space_group": "No. 186",
  "energy_ev_per_atom": -6.428,
  "lattice_angstrom": [[2.653, -4.595, 0.000], [2.653, 4.595, 0.000], [0.000, 0.000, 13.138]],
  "species": ["Ca", "Ca", "O", "O", "O", "O", "O", "O", "C", "C", "Ba", "Ba"],
  "frac_coords": [[0.667, 0.333, 0.806], [0.333, 0.667, 0.306], [0.282, 0.141, 0.924], [0.141, 0.282, 0.424], [0.718, 0.859, 0.424], [0.141, 0.859, 0.424], [0.859, 0.141, 0.924], [0.859, 0.718, 0.924], [0.000, 0.000, 0.423], [0.000, 0.000, 0.923], [0.333, 0.667, 0.000], [0.667, 0.333, 0.500]]
}

{
  "formula": "BaNaCe2C4O12F",
  "functional": "PBE-GGA",
  "state": "optimized geometry",
  "e_form_ev_per_atom": -2.7019,
  "magnetic_moment_mub_per_cell": 4.0,
  "space_group": "No. 194",
  "energy_ev_per_atom": -7.683,
  "lattice_angstrom": [[-3.157, 1.293, 3.856], [2.309, -4.602, -0.004], [17.918, 8.979, 11.661]],
  "species": ["O", "O", "O", "O", "O", "O", "O", "O", "O", "O", "O", "O", "O", "O", "O", "O", "O", "O", "O", "O", "O", "O", "O", "O", "C", "C", "C", "C", "C", "C", "C", "C", "Ba", "Ba", "F", "F", "Na", "Na", "Ce", "Ce", "Ce", "Ce"],
  "frac_coords": [[0.958, 0.479, 0.066], [0.521, 0.479, 0.434], [0.145, 0.855, 0.824], [0.479, 0.958, 0.566], [0.290, 0.145, 0.176], [0.958, 0.479, 0.434], [0.521, 0.042, 0.434], [0.145, 0.855, 0.676], [0.042, 0.521, 0.566], [0.521, 0.479, 0.066], [0.855, 0.145, 0.324], [0.710, 0.855, 0.676], [0.479, 0.521, 0.566], [0.521, 0.042, 0.066], [0.855, 0.710, 0.176], [0.855, 0.710, 0.324], [0.042, 0.521, 0.934], [0.710, 0.855, 0.824], [0.479, 0.521, 0.934], [0.479, 0.958, 0.934], [0.145, 0.290, 0.824], [0.145, 0.290, 0.676], [0.855, 0.145, 0.176], [0.290, 0.145, 0.324], [0.333, 0.667, 0.933], [0.667, 0.333, 0.433], [0.333, 0.667, 0.567], [0.667, 0.333, 0.067], [0.000, 0.000, 0.677], [0.000, 0.000, 0.323], [0.000, 0.000, 0.177], [0.000, 0.000, 0.823], [0.000, 0.000, 0.500], [0.000, 0.000, 0.000], [0.667, 0.333, 0.750], [0.333, 0.667, 0.250], [0.333, 0.667, 0.750], [0.667, 0.333, 0.250], [0.667, 0.333, 0.853], [0.333, 0.667, 0.353], [0.667, 0.333, 0.647], [0.333, 0.667, 0.147]]
}

{
  "formula": "BaCeC2O6F",
  "functional": "PBE-GGA",
  "state": "optimized geometry",
  "e_form_ev_per_atom": -2.8772,
  "relative_energy_mev_per_atom": 0,
  "magnetic_moment_mub_per_cell": 2.0,
  "space_group": "No. 166",
  "energy_ev_per_atom": -7.725,
  "lattice_angstrom": [[12.972, -2.565, 0.000], [12.972, 2.565, 0.000], [12.464, 0.000, 4.414]],
  "species": ["Ce", "Ce", "O", "O", "O", "O", "O", "O", "O", "O", "O", "O", "O", "O", "C", "C", "C", "C", "Ba", "Ba", "F", "F"],
  "frac_coords": [[0.245, 0.245, 0.245], [0.755, 0.755, 0.755], [0.081, 0.519, 0.519], [0.481, 0.481, 0.919], [0.252, 0.815, 0.252], [0.185, 0.748, 0.748], [0.519, 0.519, 0.081], [0.815, 0.252, 0.252], [0.748, 0.185, 0.748], [0.481, 0.919, 0.481], [0.919, 0.481, 0.481], [0.519, 0.081, 0.519], [0.748, 0.748, 0.185], [0.252, 0.252, 0.815], [0.893, 0.893, 0.893], [0.626, 0.626, 0.626], [0.107, 0.107, 0.107], [0.374, 0.374, 0.374], [0.500, 0.500, 0.500], [0.000, 0.000, 0.000], [0.815, 0.815, 0.815], [0.185, 0.185, 0.185]]
}